Record 1
This record from the Materials Project describes a geometry-optimized TaGeRh structure. The functional is GGA-PBE.

a b c (Å): 3.8722 6.4727 7.4974
angles (deg): 90.00 90.00 90.00
Fractional coordinates of all 12 atoms:
1 Ge 0.7500 0.2594 0.6238
2 Ta 0.2500 0.4722 0.8215
3 Ta 0.7500 0.0278 0.3215
4 Rh 0.7500 0.1446 0.9371
5 Rh 0.2500 0.3554 0.4371
6 Rh 0.2500 0.8554 0.0629
7 Ge 0.7500 0.7594 0.8762
8 Ge 0.2500 0.7406 0.3762
9 Ge 0.2500 0.2406 0.1238
10 Ta 0.2500 0.9722 0.6785
11 Ta 0.7500 0.5278 0.1785
12 Rh 0.7500 0.6446 0.5629

Summary:
The calculation puts the formation energy at -0.54 eV per atom.

Record 2
This record from the Materials Project describes a geometry-optimized Rb3Tc structure. The functional is GGA-PBE.

a b c (Å): 6.6884 6.6884 6.6884
angles (deg): 60.00 60.00 60.00
Fractional coordinates of all 4 atoms:
1 Rb 0.2500 0.2500 0.2500
2 Rb 0.7500 0.7500 0.7500
3 Rb 0.0000 0.0000 0.0000
4 Tc 0.5000 0.5000 0.5000

Summary:
The value obtained for the offset from the most stable computed form is 7 meV per atom. The magnetic moment comes out at 3.7 Bohr magnetons per cell. The calculation puts the formation energy at 1.25 eV per atom.

Record 3
This record from the Materials Project describes a geometry-optimized K2UC2SeSNO8 structure. The functional is GGA-PBE.

a b c (Å): 7.3048 11.7981 14.5349
angles (deg): 93.67 90.00 90.00
Fractional coordinates of all 64 atoms:
1 O 0.3445 0.3812 0.1490
2 S 0.1718 0.0550 0.3005
3 O 0.7657 0.4351 0.4434
4 O 0.2416 0.7397 0.9244
5 O 0.7416 0.2603 0.5756
6 C 0.0878 0.0258 0.0207
7 K 0.9316 0.8367 0.3620
8 O 0.1037 0.3696 0.0027
9 O 0.4958 0.4763 0.6720
10 N 0.9533 0.2156 0.3993
11 Se 0.8265 0.5538 0.9003
12 O 0.9469 0.2388 0.8444
13 C 0.4530 0.1478 0.8567
14 O 0.2054 0.9566 0.0489
15 O 0.0531 0.7612 0.1556
16 O 0.7054 0.0434 0.4511
17 O 0.9958 0.5237 0.8280
18 U 0.3529 0.7493 0.5404
19 K 0.6512 0.5443 0.1456
20 O 0.5042 0.5237 0.3280
21 C 0.5878 0.9742 0.4793
22 O 0.4469 0.7612 0.6556
23 O 0.2343 0.5649 0.5566
24 S 0.8282 0.9450 0.6995
25 O 0.1555 0.3812 0.6490
26 O 0.3980 0.1328 0.5241
27 U 0.8529 0.2507 0.9596
28 O 0.6037 0.6304 0.4973
29 K 0.0684 0.1633 0.6380
30 N 0.0467 0.7844 0.6007
31 O 0.8963 0.6304 0.9973
32 O 0.8445 0.6188 0.3510
33 K 0.8488 0.5443 0.6456
34 U 0.6471 0.2507 0.4596
35 C 0.0470 0.1478 0.3567
36 K 0.1512 0.4557 0.3544
37 O 0.2584 0.7397 0.4244
38 O 0.2946 0.9566 0.5489
39 O 0.6555 0.6188 0.8510
40 C 0.4122 0.0258 0.5207
41 Se 0.3265 0.4462 0.5997
42 O 0.3963 0.3696 0.5027
43 K 0.3488 0.4557 0.8544
44 Se 0.1735 0.4462 0.0997
45 O 0.5531 0.2388 0.3444
46 O 0.7584 0.2603 0.0756
47 O 0.1020 0.1328 0.0241
48 O 0.2657 0.5649 0.0566
49 C 0.5470 0.8522 0.1433
50 O 0.6020 0.8672 0.4759
51 S 0.6718 0.9450 0.1995
52 K 0.5684 0.8367 0.8620
53 C 0.9122 0.9742 0.9793
54 U 0.1471 0.7493 0.0404
55 O 0.7343 0.4351 0.9434
56 N 0.5467 0.2156 0.8993
57 N 0.4533 0.7844 0.1007
58 K 0.4316 0.1633 0.1380
59 O 0.0042 0.4763 0.1720
60 Se 0.6735 0.5538 0.4003
61 O 0.8980 0.8672 0.9759
62 O 0.7946 0.0434 0.9511
63 C 0.9530 0.8522 0.6433
64 S 0.3282 0.0550 0.8005

Summary:
The magnetic moment comes out at 0.0 Bohr magnetons per cell. The calculation puts the formation energy at -1.85 eV per atom.

Record 4
This record from the Materials Project describes a geometry-optimized Cu3W structure. The functional is GGA-PBE.

a b c (Å): 4.1831 4.1831 4.1831
angles (deg): 60.00 60.00 60.00
Fractional coordinates of all 4 atoms:
1 Cu 0.5000 0.5000 0.5000
2 Cu 0.2500 0.2500 0.2500
3 Cu 0.7500 0.7500 0.7500
4 W 0.0000 0.0000 0.0000

Summary:
The magnetic moment comes out at 0.0 Bohr magnetons per cell. The calculation puts the formation energy at 0.44 eV per atom.